(A)
The following is a DFT calculation (PBE with a Hubbard U) of an optimized crystal structure of NiI2O6.

Structure (POSCAR):
```
NiI2O6
1.0
2.9537 -5.1160 0.0000
2.9537 5.1160 0.0000
0.0000 0.0000 5.1718
Ni I O
1 2 6
Direct
0.0000 0.0000 0.0000 Ni
0.6667 0.3333 0.0518 I
0.3333 0.6667 0.9482 I
0.3486 0.1743 0.2208 O
0.8257 0.6514 0.2208 O
0.8257 0.1743 0.2208 O
0.6514 0.8257 0.7792 O
0.1743 0.3486 0.7792 O
0.1743 0.8257 0.7792 O
```

---

(B)
The following is a DFT calculation (PBE with a Hubbard U) of an optimized crystal structure of NiI2O6.

Structure (POSCAR):
```
NiI2O6
1.0
5.4352 0.0000 0.0000
0.0000 5.6141 0.0000
0.0000 0.0000 17.8617
Ni I O
4 8 24
Direct
0.7206 0.1670 0.1071 Ni
0.2206 0.3330 0.8929 Ni
0.2794 0.6670 0.3929 Ni
0.7794 0.8330 0.6071 Ni
0.9909 0.1459 0.4237 I
0.2576 0.2350 0.2027 I
0.7576 0.2650 0.7973 I
0.4909 0.3541 0.5763 I
0.0091 0.6459 0.0763 I
0.7424 0.7350 0.2973 I
0.2424 0.7650 0.7027 I
0.5091 0.8541 0.9237 I
0.0865 0.0219 0.3300 O
0.0352 0.0323 0.1556 O
0.5206 0.0238 0.1999 O
0.3946 0.1203 0.9722 O
0.8912 0.1133 0.8803 O
0.7623 0.1610 0.5532 O
0.2623 0.3390 0.4468 O
0.3912 0.3867 0.1197 O
0.8946 0.3797 0.0278 O
0.0206 0.4762 0.8001 O
0.5352 0.4677 0.8444 O
0.5865 0.4781 0.6700 O
0.9135 0.5219 0.1700 O
0.9648 0.5323 0.3444 O
0.4794 0.5238 0.3001 O
0.6054 0.6203 0.5278 O
0.1088 0.6133 0.6197 O
0.2377 0.6610 0.9468 O
0.7377 0.8390 0.0532 O
0.6088 0.8867 0.3803 O
0.1054 0.8797 0.4722 O
0.9794 0.9762 0.6999 O
0.4648 0.9677 0.6556 O
0.4135 0.9781 0.8300 O
```

---

(C)
The following is a DFT calculation (PBE with a Hubbard U) of an optimized crystal structure of NiI2O6.

Structure (POSCAR):
```
NiI2O6
1.0
-1.6039 5.0621 0.3400
-8.6599 -2.8815 2.0725
2.5049 0.0782 10.6831
Ni I O
4 8 24
Direct
0.4143 0.7469 0.3834 Ni
0.9145 0.2531 0.6167 Ni
0.4144 0.7467 0.8832 Ni
0.9142 0.2532 0.1167 Ni
0.4884 0.9338 0.6316 I
0.4884 0.9338 0.1316 I
0.9884 0.0663 0.3684 I
0.9884 0.0662 0.8684 I
0.0163 0.5999 0.6354 I
0.0160 0.6000 0.1354 I
0.5163 0.4002 0.3647 I
0.5161 0.4001 0.8647 I
0.2025 0.9195 0.8252 O
0.2025 0.9195 0.3252 O
0.7025 0.0805 0.1748 O
0.7025 0.0805 0.6748 O
0.2022 0.5998 0.7776 O
0.2020 0.5999 0.2775 O
0.7020 0.4001 0.2224 O
0.7020 0.4000 0.7225 O
0.6329 0.7998 0.7335 O
0.6328 0.7998 0.2335 O
0.1328 0.2002 0.2665 O
0.1328 0.2002 0.7666 O
0.1311 0.4307 0.5718 O
0.1310 0.4307 0.0717 O
0.6312 0.5694 0.4280 O
0.6316 0.5693 0.9280 O
0.2040 0.7277 0.5448 O
0.2030 0.7281 0.0446 O
0.7043 0.2725 0.4553 O
0.7029 0.2718 0.9554 O
0.1461 0.1220 0.5105 O
0.1459 0.1221 0.0105 O
0.6459 0.8779 0.4895 O
0.6459 0.8779 0.9895 O
```

The piezoelectric modulus e_max is 1.3 C/m2.

---

Name the least stable of them. (A).

---

(A)
The following is a DFT calculation (PBE with a Hubbard U) of an optimized crystal structure of NiI2O6.

Structure (POSCAR):
```
NiI2O6
1.0
5.2009 0.0000 0.0000
0.0000 6.8960 0.0000
0.0000 0.0000 14.6971
Ni I O
4 8 24
Direct
0.2500 0.3723 0.0000 Ni
0.7500 0.6277 0.0000 Ni
0.7500 0.1277 0.5000 Ni
0.2500 0.8723 0.5000 Ni
0.7673 0.2182 0.1476 I
0.2673 0.7818 0.1476 I
0.2673 0.2818 0.3524 I
0.7673 0.7182 0.3524 I
0.2327 0.2818 0.6476 I
0.7327 0.7182 0.6476 I
0.7327 0.2182 0.8524 I
0.2327 0.7818 0.8524 I
0.0893 0.5992 0.0773 O
0.5893 0.4008 0.0773 O
0.0585 0.1722 0.0788 O
0.5585 0.8278 0.0788 O
0.3912 0.1273 0.2629 O
0.8912 0.8727 0.2629 O
0.3912 0.6273 0.2371 O
0.8912 0.3727 0.2371 O
0.5585 0.3278 0.4212 O
0.0585 0.6722 0.4212 O
0.0893 0.0992 0.4227 O
0.5893 0.9008 0.4227 O
0.4107 0.0992 0.5773 O
0.9107 0.9008 0.5773 O
0.9415 0.3278 0.5788 O
0.4415 0.6722 0.5788 O
0.6088 0.3727 0.7629 O
0.1088 0.6273 0.7629 O
0.1088 0.1273 0.7371 O
0.6088 0.8727 0.7371 O
0.4415 0.1722 0.9212 O
0.9415 0.8278 0.9212 O
0.9107 0.4008 0.9227 O
0.4107 0.5992 0.9227 O
```

---

(B)
The following is a DFT calculation (PBE with a Hubbard U) of an optimized crystal structure of NiI2O6.

Structure (POSCAR):
```
NiI2O6
1.0
-2.1915 -9.7616 4.2548
6.1177 -0.2302 2.6229
1.0632 3.2105 7.9133
Ni I O
4 8 24
Direct
0.9055 0.1093 0.0857 Ni
0.4055 0.8907 0.4143 Ni
0.5945 0.1093 0.5857 Ni
0.0945 0.8907 0.9143 Ni
0.2064 0.3611 0.9269 I
0.7064 0.6389 0.5731 I
0.0831 0.7689 0.4768 I
0.5831 0.2311 0.0232 I
0.4169 0.7689 0.9768 I
0.9169 0.2311 0.5232 I
0.2936 0.3611 0.4269 I
0.7936 0.6389 0.0731 I
0.0779 0.1483 0.9816 O
0.8992 0.3986 0.6420 O
0.6093 0.4062 0.5947 O
0.2173 0.4418 0.6939 O
0.7173 0.5582 0.8061 O
0.7184 0.0440 0.1129 O
0.4590 0.0352 0.1569 O
0.1093 0.5938 0.9053 O
0.9590 0.9648 0.3431 O
0.2184 0.9560 0.3871 O
0.3992 0.6014 0.8580 O
0.5779 0.8517 0.5184 O
0.4221 0.1483 0.4816 O
0.6008 0.3986 0.1420 O
0.7816 0.0440 0.6129 O
0.0410 0.0352 0.6569 O
0.8907 0.4062 0.0947 O
0.5410 0.9648 0.8431 O
0.2816 0.9560 0.8871 O
0.2827 0.4418 0.1939 O
0.7827 0.5582 0.3061 O
0.3907 0.5938 0.4053 O
0.1008 0.6014 0.3580 O
0.9221 0.8517 0.0184 O
```

---

Name the least stable of them. (B).

---

(A)
The following is a DFT calculation (PBE with a Hubbard U) of an optimized crystal structure of MgMn4In2O10.

Structure (POSCAR):
```
MgMn4In2O10
1.0
4.0032 0.0000 0.0000
-2.0016 5.1646 0.1743
0.0000 0.3471 10.4156
Mg Mn In O
1 4 2 10
Direct
0.5000 0.0000 0.5000 Mg
0.1566 0.3132 0.5814 Mn
0.1378 0.2756 0.9469 Mn
0.8622 0.7244 0.0531 Mn
0.8434 0.6867 0.4186 Mn
0.1884 0.3768 0.2393 In
0.8116 0.6231 0.7607 In
0.0383 0.0767 0.1087 O
0.0590 0.1180 0.3994 O
0.3294 0.6588 0.4265 O
0.3042 0.6085 0.0492 O
0.2261 0.4522 0.7643 O
0.7739 0.5478 0.2358 O
0.9410 0.8820 0.6006 O
0.6706 0.3412 0.5735 O
0.9617 0.9233 0.8913 O
0.6958 0.3915 0.9508 O
```

---

(B)
The following is a DFT calculation (PBE with a Hubbard U) of an optimized crystal structure of MgMn4In2O10.

Structure (POSCAR):
```
MgMn4In2O10
1.0
3.9118 -0.0001 -0.0002
-1.9562 5.3616 0.0011
-0.0004 0.0019 10.1915
Mg Mn In O
1 4 2 10
Direct
0.5155 0.0375 0.7500 Mg
0.1403 0.2811 0.5559 Mn
0.1403 0.2812 0.9441 Mn
0.8758 0.7510 0.0629 Mn
0.8759 0.7510 0.4370 Mn
0.2035 0.4068 0.2500 In
0.7987 0.5988 0.7500 In
0.0603 0.1212 0.1075 O
0.0602 0.1212 0.3925 O
0.2992 0.5980 0.4586 O
0.2993 0.5983 0.0414 O
0.2267 0.4542 0.7501 O
0.7997 0.5991 0.2498 O
0.9622 0.9217 0.6245 O
0.6487 0.2977 0.5960 O
0.9618 0.9213 0.8758 O
0.6486 0.2977 0.9040 O
```

---

Name the least stable of them. (B).

---

(A)
The following is a DFT calculation (PBE with a Hubbard U) of an optimized crystal structure of MgIn6WO12.

Structure (POSCAR):
```
MgIn6WO12
1.0
6.4114 0.4566 -0.6364
-0.7456 6.3842 -0.6364
0.3781 0.4566 6.4318
Mg In W O
1 6 1 12
Direct
0.2296 0.2296 0.2296 Mg
0.4095 0.9022 0.7185 In
0.9022 0.7185 0.4095 In
0.7185 0.4095 0.9022 In
0.6786 0.1825 0.4108 In
0.1825 0.4108 0.6786 In
0.4108 0.6786 0.1825 In
0.9602 0.9602 0.9602 W
0.1741 0.5359 0.3585 O
0.5359 0.3585 0.1741 O
0.3585 0.1741 0.5359 O
0.8381 0.4321 0.5920 O
0.4321 0.5920 0.8381 O
0.5920 0.8381 0.4321 O
0.6982 0.0617 0.8410 O
0.0442 0.2742 0.9497 O
0.9497 0.0442 0.2742 O
0.2742 0.9497 0.0442 O
0.8410 0.6982 0.0617 O
0.0617 0.8410 0.6982 O
```

---

(B)
The following is a DFT calculation (PBE with a Hubbard U) of an optimized crystal structure of MgIn6WO12.

Structure (POSCAR):
```
MgIn6WO12
1.0
-1.3665 -5.8650 -2.2328
6.2799 -0.8884 -1.0120
0.4790 -2.2106 6.0112
Mg In W O
1 6 1 12
Direct
0.5000 0.5000 0.5000 Mg
0.4452 0.9262 0.7397 In
0.9262 0.7397 0.4452 In
0.7397 0.4452 0.9262 In
0.5548 0.0738 0.2603 In
0.0738 0.2603 0.5548 In
0.2603 0.5548 0.0738 In
0.0000 0.0000 0.0000 W
0.1905 0.5455 0.4008 O
0.5455 0.4008 0.1905 O
0.4008 0.1905 0.5455 O
0.8095 0.4545 0.5992 O
0.4545 0.5992 0.8095 O
0.5992 0.8095 0.4545 O
0.6966 0.0781 0.9296 O
0.0704 0.3034 0.9219 O
0.9219 0.0704 0.3034 O
0.3034 0.9219 0.0704 O
0.9296 0.6966 0.0781 O
0.0781 0.9296 0.6966 O
```

---

Name the least stable of them. (A).